No. 1
The following is a DFT calculation (r²SCAN) of crystalline K3Au3Br8 at its relaxed geometry.

Structure (CIF):
```
data_K3Au3Br8
_chemical_formula_sum 'K6 Au6 Br16'
_cell_length_a 7.279
_cell_length_b 7.279
_cell_length_c 18.795
_cell_angle_alpha 82.46
_cell_angle_beta 82.46
_cell_angle_gamma 64.96
_symmetry_space_group_name_H-M 'P 1'
_symmetry_Int_Tables_number 1
_symmetry_space_group_name_Hall 'P 1'
loop_
_atom_site_label
_atom_site_type_symbol
_atom_site_fract_x
_atom_site_fract_y
_atom_site_fract_z
_atom_site_occupancy
K1 K 0.691 0.679 0.418 1
K2 K 0.309 0.321 0.582 1
K3 K 0.321 0.309 0.082 1
K4 K 0.679 0.691 0.918 1
K5 K 0.976 0.024 0.250 1
K6 K 0.024 0.976 0.750 1
Au1 Au 0.000 0.000 0.000 1
Au2 Au 0.000 0.000 0.500 1
Au3 Au 0.605 0.604 0.196 1
Au4 Au 0.395 0.396 0.804 1
Au5 Au 0.396 0.395 0.304 1
Au6 Au 0.604 0.605 0.696 1
Br1 Br 0.307 0.742 0.128 1
Br2 Br 0.693 0.258 0.872 1
Br3 Br 0.258 0.693 0.372 1
Br4 Br 0.742 0.307 0.628 1
Br5 Br 0.502 0.085 0.244 1
Br6 Br 0.498 0.915 0.756 1
Br7 Br 0.915 0.498 0.256 1
Br8 Br 0.085 0.502 0.744 1
Br9 Br 0.774 0.846 0.065 1
Br10 Br 0.226 0.154 0.935 1
Br11 Br 0.154 0.226 0.435 1
Br12 Br 0.846 0.774 0.565 1
Br13 Br 0.707 0.162 0.424 1
Br14 Br 0.293 0.838 0.576 1
Br15 Br 0.838 0.293 0.076 1
Br16 Br 0.162 0.707 0.924 1
```

Results
Energy of formation from the pure elements = -14.04 eV per formula unit
M_tot = 0.00 Bohr magnetons per cell
Space group = C2/c (15)


No. 2
The following is a DFT calculation (r²SCAN) of crystalline RbAuBr4 at its relaxed geometry.

Structure (CIF):
```
data_RbAuBr4
_chemical_formula_sum 'Rb2 Au2 Br8'
_cell_length_a 6.224
_cell_length_b 7.528
_cell_length_c 9.077
_cell_angle_alpha 102.08
_cell_angle_beta 90.00
_cell_angle_gamma 90.00
_symmetry_space_group_name_H-M 'P 1'
_symmetry_Int_Tables_number 1
_symmetry_space_group_name_Hall 'P 1'
loop_
_atom_site_label
_atom_site_type_symbol
_atom_site_fract_x
_atom_site_fract_y
_atom_site_fract_z
_atom_site_occupancy
Rb1 Rb 0.500 0.500 0.000 1
Rb2 Rb 0.000 0.000 0.500 1
Au1 Au 0.000 0.000 0.000 1
Au2 Au 0.500 0.500 0.500 1
Br1 Br 0.015 0.262 0.880 1
Br2 Br 0.515 0.238 0.620 1
Br3 Br 0.985 0.738 0.120 1
Br4 Br 0.485 0.762 0.380 1
Br5 Br 0.708 0.870 0.828 1
Br6 Br 0.208 0.630 0.672 1
Br7 Br 0.292 0.130 0.172 1
Br8 Br 0.792 0.370 0.328 1
```

Results
Energy of formation from the pure elements = -5.30 eV per formula unit
M_tot = 0.00 Bohr magnetons per cell
Space group = P2_1/c (14)


No. 3
The following is a DFT calculation (r²SCAN) of crystalline Rb3Au3Br8 at its relaxed geometry.

Structure (CIF):
```
data_Rb3Au3Br8
_chemical_formula_sum 'Rb6 Au6 Br16'
_cell_length_a 7.439
_cell_length_b 7.439
_cell_length_c 18.946
_cell_angle_alpha 81.81
_cell_angle_beta 81.81
_cell_angle_gamma 64.37
_symmetry_space_group_name_H-M 'P 1'
_symmetry_Int_Tables_number 1
_symmetry_space_group_name_Hall 'P 1'
loop_
_atom_site_label
_atom_site_type_symbol
_atom_site_fract_x
_atom_site_fract_y
_atom_site_fract_z
_atom_site_occupancy
Rb1 Rb 0.691 0.682 0.421 1
Rb2 Rb 0.309 0.318 0.579 1
Rb3 Rb 0.318 0.309 0.079 1
Rb4 Rb 0.682 0.691 0.921 1
Rb5 Rb 0.984 0.016 0.250 1
Rb6 Rb 0.016 0.984 0.750 1
Au1 Au 0.000 0.000 0.000 1
Au2 Au 0.000 0.000 0.500 1
Au3 Au 0.613 0.603 0.195 1
Au4 Au 0.387 0.397 0.805 1
Au5 Au 0.397 0.387 0.305 1
Au6 Au 0.603 0.613 0.695 1
Br1 Br 0.328 0.740 0.124 1
Br2 Br 0.672 0.260 0.876 1
Br3 Br 0.260 0.672 0.376 1
Br4 Br 0.740 0.328 0.624 1
Br5 Br 0.499 0.085 0.246 1
Br6 Br 0.501 0.915 0.754 1
Br7 Br 0.915 0.501 0.254 1
Br8 Br 0.085 0.499 0.746 1
Br9 Br 0.797 0.836 0.071 1
Br10 Br 0.203 0.164 0.929 1
Br11 Br 0.164 0.203 0.429 1
Br12 Br 0.836 0.797 0.571 1
Br13 Br 0.713 0.163 0.425 1
Br14 Br 0.287 0.837 0.575 1
Br15 Br 0.837 0.287 0.075 1
Br16 Br 0.163 0.713 0.925 1
```

Results
Energy of formation from the pure elements = -14.37 eV per formula unit
M_tot = 0.00 Bohr magnetons per cell
Space group = C2/c (15)


What is the M_tot in the second record?
0.00 Bohr magnetons per cell